No. 1
Density functional theory data (r²SCAN) for crystalline LaAl2Ga2 at its relaxed geometry.

crystal system: tetragonal
magnetic moment: 0.000 μB per formula unit
uncorrected energy: -13.774 eV/atom

Cell lengths 4.249, 4.249, 6.357 Å; angles 109.52, 109.52, 90.00 degrees
Sites, in units of the cell vectors:
1 La 0.000 0.000 0.000
2 Al 0.250 0.750 0.500
3 Al 0.750 0.250 0.500
4 Ga 0.614 0.614 0.228
5 Ga 0.386 0.386 0.772

=====

No. 2
Density functional theory data (r²SCAN) for crystalline Nb4Pb3O13 at its relaxed geometry.

crystal system: trigonal
magnetic moment: 0.000 μB per formula unit
uncorrected energy: -19.649 eV/atom

Cell lengths 7.589, 7.589, 7.589 Å; angles 59.59, 59.59, 59.59 degrees
Sites, in units of the cell vectors:
1 Nb 0.504 0.504 0.504
2 Nb 0.005 0.502 0.502
3 Nb 0.502 0.502 0.005
4 Nb 0.502 0.005 0.502
5 Pb 0.504 0.016 0.016
6 Pb 0.016 0.016 0.504
7 Pb 0.016 0.504 0.016
8 O 0.814 0.426 0.426
9 O 0.437 0.802 0.802
10 O 0.426 0.426 0.814
11 O 0.802 0.802 0.437
12 O 0.802 0.437 0.802
13 O 0.426 0.814 0.426
14 O 0.186 0.559 0.559
15 O 0.551 0.182 0.182
16 O 0.559 0.559 0.186
17 O 0.182 0.182 0.551
18 O 0.182 0.551 0.182
19 O 0.559 0.186 0.559
20 O 0.150 0.150 0.150

=====

No. 3
Density functional theory data (r²SCAN) for crystalline Mg3Al2Ge3O12 at its relaxed geometry.

crystal system: cubic
magnetic moment: 0.000 μB per formula unit
uncorrected energy: -9.540 eV/atom

Cell lengths 10.168, 10.168, 10.168 Å; angles 109.47, 109.47, 109.47 degrees
Sites, in units of the cell vectors:
1 Mg 0.750 0.125 0.375
2 Mg 0.375 0.750 0.125
3 Mg 0.125 0.375 0.750
4 Mg 0.875 0.750 0.625
5 Mg 0.625 0.250 0.875
6 Mg 0.625 0.875 0.750
7 Mg 0.875 0.625 0.250
8 Mg 0.750 0.625 0.875
9 Mg 0.250 0.875 0.625
10 Mg 0.125 0.250 0.375
11 Mg 0.375 0.125 0.250
12 Mg 0.250 0.375 0.125
13 Al 0.500 0.000 0.000
14 Al 0.000 0.500 0.000
15 Al 0.000 0.000 0.500
16 Al 0.500 0.000 0.500
17 Al 0.500 0.500 0.000
18 Al 0.000 0.500 0.500
19 Al 0.500 0.500 0.500
20 Al 0.000 0.000 0.000
21 Ge 0.875 0.250 0.125
22 Ge 0.125 0.875 0.250
23 Ge 0.250 0.125 0.875
24 Ge 0.125 0.750 0.875
25 Ge 0.375 0.250 0.625
26 Ge 0.875 0.125 0.750
27 Ge 0.625 0.375 0.250
28 Ge 0.750 0.875 0.125
29 Ge 0.250 0.625 0.375
30 Ge 0.750 0.375 0.625
31 Ge 0.375 0.625 0.750
32 Ge 0.625 0.750 0.375
33 O 0.622 0.420 0.097
34 O 0.975 0.677 0.097
35 O 0.878 0.403 0.080
36 O 0.920 0.298 0.323
37 O 0.202 0.122 0.025
38 O 0.580 0.177 0.202
39 O 0.903 0.025 0.323
40 O 0.920 0.122 0.597
41 O 0.097 0.622 0.420
42 O 0.097 0.975 0.677
43 O 0.080 0.878 0.403
44 O 0.025 0.202 0.122
45 O 0.323 0.920 0.298
46 O 0.202 0.580 0.177
47 O 0.597 0.920 0.122
48 O 0.323 0.903 0.025
49 O 0.420 0.097 0.622
50 O 0.403 0.080 0.878
51 O 0.677 0.097 0.975
52 O 0.122 0.025 0.202
53 O 0.298 0.323 0.920
54 O 0.177 0.202 0.580
55 O 0.025 0.323 0.903
56 O 0.122 0.597 0.920
57 O 0.525 0.403 0.823
58 O 0.823 0.525 0.403
59 O 0.403 0.823 0.525
60 O 0.798 0.420 0.823
61 O 0.420 0.823 0.798
62 O 0.823 0.798 0.420
63 O 0.080 0.702 0.677
64 O 0.975 0.798 0.878
65 O 0.677 0.080 0.702
66 O 0.878 0.975 0.798
67 O 0.702 0.677 0.080
68 O 0.798 0.878 0.975
69 O 0.702 0.525 0.622
70 O 0.525 0.622 0.702
71 O 0.622 0.702 0.525
72 O 0.580 0.903 0.378
73 O 0.378 0.580 0.903
74 O 0.903 0.378 0.580
75 O 0.475 0.597 0.177
76 O 0.177 0.475 0.597
77 O 0.597 0.177 0.475
78 O 0.298 0.475 0.378
79 O 0.475 0.378 0.298
80 O 0.378 0.298 0.475

=====

No. 4
Density functional theory data (r²SCAN) for crystalline NiPt3O6 at its relaxed geometry.

magnetic moment: 1.995 μB per formula unit
uncorrected energy: -20.961 eV/atom

Cell lengths 6.327, 6.877, 11.812 Å; angles 99.82, 90.00, 62.60 degrees
Sites, in units of the cell vectors:
1 Ni 0.500 0.000 0.000
2 Ni 0.250 0.500 0.500
3 Ni 0.750 0.500 0.500
4 Ni 0.000 0.000 0.000
5 Pt 0.875 0.250 0.750
6 Pt 0.625 0.750 0.250
7 Pt 0.375 0.250 0.750
8 Pt 0.125 0.750 0.250
9 Pt 0.500 0.500 0.000
10 Pt 0.250 0.000 0.500
11 Pt 0.000 0.500 0.000
12 Pt 0.750 0.000 0.500
13 Pt 0.375 0.750 0.750
14 Pt 0.125 0.250 0.250
15 Pt 0.875 0.750 0.750
16 Pt 0.625 0.250 0.250
17 O 0.891 0.718 0.573
18 O 0.641 0.218 0.073
19 O 0.391 0.718 0.573
20 O 0.141 0.218 0.073
21 O 0.359 0.782 0.927
22 O 0.109 0.282 0.427
23 O 0.859 0.782 0.927
24 O 0.609 0.282 0.427
25 O 0.917 0.165 0.581
26 O 0.667 0.665 0.081
27 O 0.417 0.165 0.581
28 O 0.167 0.665 0.081
29 O 0.833 0.335 0.919
30 O 0.583 0.835 0.419
31 O 0.333 0.335 0.919
32 O 0.083 0.835 0.419
33 O 0.023 0.954 0.792
34 O 0.773 0.454 0.292
35 O 0.523 0.954 0.792
36 O 0.273 0.454 0.292
37 O 0.727 0.546 0.708
38 O 0.477 0.046 0.208
39 O 0.227 0.546 0.708
40 O 0.977 0.046 0.208